No. 1
Material: TbHg2
Method: DFT, PBE-GGA
State: optimized geometry

Cell: 5.306 5.306 3.703 Å, 78.29 78.29 48.44°
Atoms (fractional coordinates):
1 Tb 0.000 0.000 0.000
2 Hg 0.332 0.332 0.640
3 Hg 0.668 0.668 0.360

As for the total energy: -2.0795 eV/atom. The symmetry is No. 12.



No. 2
Material: CeCu6P3O21
Method: DFT, PBE-GGA
State: optimized geometry

Cell: 13.248 13.248 5.749 Å, 90.00 90.00 120.00°
Atoms (fractional coordinates):
1 O 0.350 0.343 0.750
2 O 0.259 0.452 0.250
3 O 0.013 0.068 0.750
4 O 0.590 0.804 0.750
5 O 0.785 0.590 0.250
6 O 0.807 0.259 0.750
7 O 0.650 0.657 0.250
8 O 0.068 0.055 0.250
9 O 0.055 0.987 0.750
10 O 0.377 0.817 0.970
11 O 0.932 0.945 0.750
12 O 0.376 0.983 0.750
13 O 0.657 0.007 0.750
14 O 0.987 0.932 0.250
15 O 0.183 0.560 0.530
16 O 0.623 0.183 0.470
17 O 0.393 0.376 0.250
18 O 0.183 0.560 0.970
19 O 0.607 0.624 0.750
20 O 0.817 0.440 0.030
21 O 0.440 0.623 0.970
22 O 0.983 0.607 0.250
23 O 0.193 0.741 0.250
24 O 0.560 0.377 0.030
25 O 0.741 0.548 0.750
26 O 0.215 0.410 0.750
27 O 0.548 0.807 0.250
28 O 0.993 0.650 0.750
29 O 0.452 0.193 0.750
30 O 0.624 0.017 0.250
31 O 0.623 0.183 0.030
32 O 0.560 0.377 0.470
33 O 0.804 0.215 0.250
34 O 0.440 0.623 0.530
35 O 0.410 0.196 0.250
36 O 0.343 0.993 0.250
37 O 0.017 0.393 0.750
38 O 0.196 0.785 0.750
39 O 0.007 0.350 0.250
40 O 0.377 0.817 0.530
41 O 0.945 0.013 0.250
42 O 0.817 0.440 0.470
43 Cu 0.693 0.601 0.002
44 Cu 0.908 0.307 0.002
45 Cu 0.693 0.601 0.498
46 Cu 0.307 0.399 0.998
47 Cu 0.399 0.092 0.498
48 Cu 0.399 0.092 0.002
49 Cu 0.092 0.693 0.998
50 Cu 0.307 0.399 0.502
51 Cu 0.908 0.307 0.498
52 Cu 0.601 0.908 0.502
53 Cu 0.092 0.693 0.502
54 Cu 0.601 0.908 0.998
55 P 0.335 0.847 0.750
56 P 0.153 0.487 0.750
57 P 0.487 0.335 0.250
58 P 0.847 0.513 0.250
59 P 0.513 0.665 0.750
60 P 0.665 0.153 0.250
61 Ce 0.333 0.667 0.250
62 Ce 0.667 0.333 0.750

As for the total energy: -5.9711 eV/atom. The symmetry is No. 176.



No. 3
Material: CeMg6Zr
Method: DFT, PBE-GGA
State: optimized geometry

Cell: 5.043 6.529 11.643 Å, 90.00 90.00 90.00°
Atoms (fractional coordinates):
1 Mg 0.500 0.000 0.169
2 Mg 0.500 0.760 0.926
3 Mg 0.000 0.743 0.574
4 Mg 0.000 0.000 0.329
5 Mg 0.000 0.243 0.074
6 Mg 0.500 0.260 0.426
7 Mg 0.500 0.240 0.926
8 Mg 0.500 0.740 0.426
9 Mg 0.000 0.757 0.074
10 Mg 0.500 0.500 0.669
11 Mg 0.000 0.500 0.829
12 Mg 0.000 0.257 0.574
13 Zr 0.000 0.000 0.810
14 Zr 0.000 0.500 0.310
15 Ce 0.500 0.500 0.191
16 Ce 0.500 0.000 0.691

As for the total energy: -2.9193 eV/atom. For the polymorph energy (0 for the lowest one), the calculation gives 0 meV/atom.



No. 4
Material: VFeSb
Method: DFT, PBE-GGA
State: optimized geometry

Cell: 4.385 4.385 5.302 Å, 90.00 90.00 120.00°
Atoms (fractional coordinates):
1 Fe 0.667 0.333 0.250
2 Fe 0.333 0.667 0.750
3 V 0.000 0.000 0.000
4 V 0.000 0.000 0.500
5 Sb 0.667 0.333 0.750
6 Sb 0.333 0.667 0.250

As for the total energy: -7.1456 eV/atom. For the polymorph energy (0 for the lowest one), the calculation gives 293 meV/atom. The symmetry is No. 194.